1.
The following is a DFT calculation (r²SCAN) of a relaxed structure of Ba2ZrS4.

Results
crystal system = tetragonal
energy relative to the elements = -2.17 eV/atom
total magnetic moment = 0.000 μB/atom
calculated volume = 395.31 Å³/cell
space-group type = No. 139

```
Ba2ZrS4
1.0
4.9892 0.0000 0.0000
0.0000 4.9892 0.0000
0.0000 0.0000 15.8807
Ba Zr S
4 2 8
direct
0.0000 0.0000 0.1418
0.0000 0.0000 0.8582
0.5000 0.5000 0.3582
0.5000 0.5000 0.6418
0.0000 0.0000 0.5000
0.5000 0.5000 0.0000
0.0000 0.0000 0.3373
0.0000 0.0000 0.6627
0.0000 0.5000 0.0000
0.0000 0.5000 0.5000
0.5000 0.0000 0.0000
0.5000 0.0000 0.5000
0.5000 0.5000 0.1627
0.5000 0.5000 0.8373
```

2.
The following is a DFT calculation (r²SCAN) of a relaxed structure of Ba3Zr2S7.

Results
crystal system = tetragonal
energy relative to the elements = -2.14 eV/atom
total magnetic moment = 0.000 μB/atom
distance to the lowest polymorph of the same formula = 0.000 kcal/mol of atoms
calculated volume = 1299.91 Å³/cell
space-group type = No. 136

```
Ba3Zr2S7
1.0
7.1279 0.0000 0.0000
0.0000 7.1279 0.0000
0.0000 0.0000 25.5853
Ba Zr S
12 8 28
direct
0.2377 0.2377 0.1816
0.2377 0.2377 0.8184
0.2466 0.7534 0.5000
0.2534 0.2534 0.0000
0.2623 0.7377 0.3184
0.2623 0.7377 0.6816
0.7377 0.2623 0.3184
0.7377 0.2623 0.6816
0.7466 0.7466 0.0000
0.7534 0.2466 0.5000
0.7623 0.7623 0.1816
0.7623 0.7623 0.8184
0.2493 0.2493 0.4005
0.2493 0.2493 0.5995
0.2507 0.7493 0.0995
0.2507 0.7493 0.9005
0.7493 0.2507 0.0995
0.7493 0.2507 0.9005
0.7507 0.7507 0.4005
0.7507 0.7507 0.5995
0.0000 0.0000 0.0830
0.0000 0.0000 0.3895
0.0000 0.0000 0.6105
0.0000 0.0000 0.9170
0.0000 0.5000 0.0956
0.0000 0.5000 0.4044
0.0000 0.5000 0.5956
0.0000 0.5000 0.9044
0.2105 0.2105 0.5000
0.2186 0.7814 0.1974
0.2186 0.7814 0.8026
0.2814 0.2814 0.3026
0.2814 0.2814 0.6974
0.2895 0.7105 0.0000
0.5000 0.0000 0.0956
0.5000 0.0000 0.4044
0.5000 0.0000 0.5956
0.5000 0.0000 0.9044
0.5000 0.5000 0.1105
0.5000 0.5000 0.4170
0.5000 0.5000 0.5830
0.5000 0.5000 0.8895
0.7105 0.2895 0.0000
0.7186 0.7186 0.3026
0.7186 0.7186 0.6974
0.7814 0.2186 0.1974
0.7814 0.2186 0.8026
0.7895 0.7895 0.5000
```

3.
The following is a DFT calculation (r²SCAN) of a relaxed structure of Ba3Zr2S7.

Results
energy relative to the elements = -2.14 eV/atom
total magnetic moment = 0.000 μB/atom
distance to the lowest polymorph of the same formula = 0.113 kcal/mol of atoms
calculated volume = 649.67 Å³/cell

```
Ba3Zr2S7
1.0
3.3149 2.6021 -12.7010
-7.2794 2.9770 10.8270
5.1133 4.3834 2.2326
Zr Ba S
4 6 14
direct
0.4000 0.0998 0.0000
0.6000 0.9002 0.0000
0.9002 0.6000 0.5000
0.0998 0.4000 0.5000
0.0000 0.5000 0.0000
0.5000 0.0000 0.5000
0.6810 0.8187 0.5000
0.3190 0.1813 0.5000
0.8187 0.6810 0.0000
0.1813 0.3190 0.0000
0.1974 0.3020 0.5000
0.3460 0.6540 0.7500
0.8459 0.1541 0.7500
0.1541 0.8459 0.2500
0.1541 0.8459 0.7500
0.0000 0.5000 0.5000
0.6540 0.3460 0.2500
0.3020 0.1974 0.0000
0.6980 0.8026 0.0000
0.6540 0.3460 0.7500
0.8459 0.1541 0.2500
0.5000 0.0000 0.0000
0.8026 0.6980 0.5000
0.3460 0.6540 0.2500
```

4.
The following is a DFT calculation (r²SCAN) of a relaxed structure of Ba5Sb4.

Results
crystal system = orthorhombic
energy relative to the elements = -1.24 eV/atom
total magnetic moment = 0.000 μB/atom
calculated volume = 757.06 Å³/cell
space-group type = No. 64

```
Ba5Sb4
1.0
9.0106 -4.5720 0.0000
9.0106 4.5720 0.0000
0.0000 0.0000 9.1884
Ba Sb
10 8
direct
0.0000 0.0000 0.0000
0.0224 0.6853 0.6644
0.1853 0.5224 0.1644
0.3147 0.9776 0.6644
0.4776 0.8147 0.1644
0.5000 0.5000 0.5000
0.5224 0.1853 0.8356
0.6853 0.0224 0.3356
0.8147 0.4776 0.8356
0.9776 0.3147 0.3356
0.1124 0.8876 0.3875
0.1982 0.1982 0.0000
0.3018 0.3018 0.5000
0.3876 0.6124 0.8875
0.6124 0.3876 0.1125
0.6982 0.6982 0.5000
0.8018 0.8018 0.0000
0.8876 0.1124 0.6125
```